<i>
MgSb2P2O10: optimized geometry, PBE-GGA.

The structure in CIF format:
```
data_MgSb2P2O10
_space_group_name_H-M_alt 'P 1'
_space_group_IT_number 1
_cell_length_a 5.495
_cell_length_b 5.521
_cell_length_c 7.888
_cell_angle_alpha 106.49
_cell_angle_beta 107.98
_cell_angle_gamma 94.16
loop_
_space_group_symop_operation_xyz
'x,y,z'
loop_
_atom_site_label
_atom_site_fract_x
_atom_site_fract_y
_atom_site_fract_z
Mg1 0.000 0.000 0.000
Sb1 0.263 0.593 0.793
Sb2 0.277 0.640 0.337
P1 0.568 0.210 0.020
P2 0.919 0.997 0.562
O1 0.011 0.870 0.722
O2 0.077 0.933 0.428
O3 0.160 0.692 0.009
O4 0.336 0.526 0.563
O5 0.363 0.222 0.114
O6 0.519 0.371 0.881
O7 0.569 0.920 0.904
O8 0.628 0.906 0.452
O9 0.855 0.288 0.149
O10 0.960 0.290 0.663
```


<ii>
MgSb2P2O10: optimized geometry, PBE-GGA.

The structure in CIF format:
```
data_MgSb2P2O10
_space_group_name_H-M_alt 'F d d 2'
_space_group_IT_number 43
_space_group_name_Hall 'F 2 -2d'
_cell_length_a 12.557
_cell_length_b 16.130
_cell_length_c 7.871
_cell_angle_alpha 90.00
_cell_angle_beta 90.00
_cell_angle_gamma 90.00
loop_
_atom_site_label
_atom_site_fract_x
_atom_site_fract_y
_atom_site_fract_z
Mg1 0.000 0.000 0.000
Sb1 0.121 0.143 0.650
P1 0.017 0.187 0.054
O1 0.005 0.088 0.529
O2 0.012 0.394 0.653
O3 0.027 0.157 0.866
O4 0.085 0.256 0.557
O5 0.114 0.234 0.118
```


The winner here is <i>, beating the second structure by 59 meV per atom.


<i>
MgTiPbO3: optimized geometry, PBE-GGA.

The structure in CIF format:
```
data_MgTiPbO3
_space_group_name_H-M_alt 'P m m 2'
_space_group_IT_number 25
_cell_length_a 3.496
_cell_length_b 3.892
_cell_length_c 7.453
_cell_angle_alpha 90.00
_cell_angle_beta 90.00
_cell_angle_gamma 90.00
loop_
_space_group_symop_operation_xyz
'x,y,z'
'-x,-y,z'
'-x,y,z'
'x,-y,z'
loop_
_atom_site_label
_atom_site_fract_x
_atom_site_fract_y
_atom_site_fract_z
Mg1 0.000 0.000 0.000
Ti1 0.000 0.500 0.293
Pb1 0.500 0.000 0.637
O1 0.000 0.000 0.276
O2 0.000 0.500 0.044
O3 0.500 0.500 0.410
```


<ii>
MgTiPbO3: optimized geometry, PBE-GGA.

The structure in CIF format:
```
data_MgTiPbO3
_space_group_name_H-M_alt 'P 4 m m'
_space_group_IT_number 99
_cell_length_a 3.733
_cell_length_b 3.733
_cell_length_c 7.019
_cell_angle_alpha 90.00
_cell_angle_beta 90.00
_cell_angle_gamma 90.00
loop_
_space_group_symop_operation_xyz
'x,y,z'
'-y,x,z'
'-x,-y,z'
'y,-x,z'
'-x,y,z'
'y,x,z'
'x,-y,z'
'-y,-x,z'
loop_
_atom_site_label
_atom_site_fract_x
_atom_site_fract_y
_atom_site_fract_z
Mg1 0.000 0.000 0.000
Ti1 0.500 0.500 0.775
Pb1 0.000 0.000 0.448
O1 0.000 0.500 0.887
O2 0.500 0.500 0.515
```


The winner here is <ii>, beating the second structure by 87 meV per atom.


<i>
Pr2MgTi2S2O5: optimized geometry, PBE-GGA.

The structure in CIF format:
```
data_Pr2MgTi2S2O5
_space_group_name_H-M_alt 'I 4/m m m'
_space_group_IT_number 139
_space_group_name_Hall '-I 4 2'
_cell_length_a 3.983
_cell_length_b 3.983
_cell_length_c 22.814
_cell_angle_alpha 90.00
_cell_angle_beta 90.00
_cell_angle_gamma 90.00
loop_
_atom_site_label
_atom_site_fract_x
_atom_site_fract_y
_atom_site_fract_z
Pr1 0.000 0.000 0.165
Mg1 0.000 0.000 0.000
Ti1 0.000 0.000 0.416
S1 0.000 0.000 0.298
O1 0.000 0.000 0.500
O2 0.000 0.500 0.093
```


<ii>
Pr2MgTi2S2O5: optimized geometry, PBE-GGA.

The structure in CIF format:
```
data_Pr2MgTi2S2O5
_space_group_name_H-M_alt 'I -4 m 2'
_space_group_IT_number 119
_space_group_name_Hall 'I -4 -2'
_cell_length_a 3.881
_cell_length_b 3.881
_cell_length_c 28.135
_cell_angle_alpha 90.00
_cell_angle_beta 90.00
_cell_angle_gamma 90.00
loop_
_atom_site_label
_atom_site_fract_x
_atom_site_fract_y
_atom_site_fract_z
Pr1 0.000 0.000 0.137
Mg1 0.000 0.500 0.250
Ti1 0.000 0.000 0.435
S1 0.000 0.000 0.306
O1 0.000 0.000 0.500
O2 0.000 0.500 0.089
O3 0.000 0.500 0.588
```


The winner here is <ii>, beating the second structure by 57 meV per atom.